[1]
! BaCaI4 | Materials Project | PBE | optimized geometry; values from VASP
&SYSTEM
  ibrav = 0, nat = 24, ntyp = 3
/
ATOMIC_SPECIES
Ba 137.33 Ba.upf
Ca 40.08 Ca.upf
I 126.90 I.upf
CELL_PARAMETERS angstrom
7.983 0.000 0.000
0.000 11.191 0.000
0.000 0.000 11.710
ATOMIC_POSITIONS angstrom
Ba 0.280 1.912 2.927
Ba 0.280 3.684 8.782
Ba 7.703 7.507 2.927
Ba 7.703 9.279 8.782
Ca 3.992 0.000 0.000
Ca 3.992 0.000 5.855
Ca 3.992 5.596 0.000
Ca 3.992 5.596 5.855
I 1.297 6.663 6.865
I 1.297 6.663 10.700
I 1.297 10.124 1.010
I 1.297 10.124 4.845
I 2.473 2.798 0.000
I 2.473 2.798 5.855
I 2.865 6.010 2.927
I 2.865 10.777 8.782
I 5.118 0.415 2.927
I 5.118 5.181 8.782
I 5.510 8.393 0.000
I 5.510 8.393 5.855
I 6.686 1.067 6.865
I 6.686 1.067 10.700
I 6.686 4.528 1.010
I 6.686 4.528 4.845
! **DFT formation energy**: -1908.3 meV per atom
! **Calculated total energy**: -79.8 eV for the cell shown
! **SG**: Pbcm, No. 57
! **Distance to the lowest polymorph of the same formula**: 36.8 meV per atom

=====

[2]
! BaCaI4 | Materials Project | PBE | optimized geometry; values from VASP
&SYSTEM
  ibrav = 0, nat = 12, ntyp = 3
/
ATOMIC_SPECIES
Ba 137.33 Ba.upf
Ca 40.08 Ca.upf
I 126.90 I.upf
CELL_PARAMETERS angstrom
-4.081 4.081 8.552
4.081 -4.081 8.552
4.081 4.081 -8.552
ATOMIC_POSITIONS angstrom
Ba 0.000 2.041 2.138
Ba 4.081 2.041 6.414
Ca 4.081 2.041 -2.138
Ca 0.000 2.041 10.690
I 1.849 0.619 -0.672
I 2.660 0.191 3.604
I 2.660 4.273 -3.604
I 2.232 -0.619 7.880
I 1.849 4.701 0.672
I 1.421 -0.191 12.156
I 1.421 3.890 4.948
I 2.232 3.462 9.224
! **DFT formation energy**: -1906.2 meV per atom
! **Calculated total energy**: -39.9 eV for the cell shown
! **SG**: I4_1/a, No. 88
! **Distance to the lowest polymorph of the same formula**: 38.8 meV per atom

=====

[3]
! BaCaI4 | Materials Project | PBE | optimized geometry; values from VASP
&SYSTEM
  ibrav = 0, nat = 6, ntyp = 3
/
ATOMIC_SPECIES
Ba 137.33 Ba.upf
Ca 40.08 Ca.upf
I 126.90 I.upf
CELL_PARAMETERS angstrom
7.311 0.000 0.000
0.000 4.822 0.000
-0.079 0.000 8.516
ATOMIC_POSITIONS angstrom
Ba 0.000 0.000 0.000
Ca -0.039 2.411 4.258
I 1.704 0.000 3.043
I 1.785 2.411 6.873
I 5.447 2.411 1.643
I 5.528 0.000 5.474
! **DFT formation energy**: -1943.6 meV per atom
! **Calculated total energy**: -20.2 eV for the cell shown
! **SG**: P2/m, No. 10
! **Distance to the lowest polymorph of the same formula**: 1.4 meV per atom

=====

[4]
! Ba6Ca11I34 | Materials Project | PBE | optimized geometry; values from VASP
&SYSTEM
  ibrav = 0, nat = 51, ntyp = 3
/
ATOMIC_SPECIES
Ba 137.33 Ba.upf
Ca 40.08 Ca.upf
I 126.90 I.upf
CELL_PARAMETERS angstrom
11.576 0.000 0.000
4.663 14.158 0.000
4.954 0.621 14.195
ATOMIC_POSITIONS angstrom
Ba 4.278 6.274 3.210
Ba 7.394 2.855 13.821
Ba 10.345 12.321 9.623
Ba 10.847 2.459 4.571
Ba 13.799 11.924 0.374
Ba 16.914 8.505 10.985
Ca 7.153 10.738 4.326
Ca 6.768 3.760 8.797
Ca 9.912 7.618 11.558
Ca 5.068 0.306 4.208
Ca 12.937 11.201 13.991
Ca 10.596 7.390 7.097
Ca 8.256 3.578 0.204
Ca 16.125 14.474 9.987
Ca 11.280 7.162 2.636
Ca 14.424 11.020 5.397
Ca 14.040 4.042 9.868
I 5.204 8.934 5.929
I 7.962 9.407 13.142
I 4.791 2.054 10.533
I 2.599 2.218 3.435
I 7.356 5.664 11.291
I 10.542 13.159 13.212
I 8.488 12.650 6.509
I 8.618 9.087 9.024
I 6.407 8.831 1.891
I 6.477 1.857 6.382
I 8.640 12.423 2.153
I 10.532 5.922 14.109
I 8.689 1.855 10.489
I 8.544 5.156 6.664
I 6.075 1.823 1.630
I 12.230 9.720 11.396
I 9.801 9.052 4.572
I 11.392 5.728 9.623
I 8.962 5.060 2.799
I 15.117 12.957 12.564
I 12.648 9.624 7.531
I 12.503 12.925 3.706
I 10.660 8.858 0.085
I 12.552 2.356 12.041
I 14.716 12.923 7.812
I 14.785 5.948 12.303
I 12.575 5.693 5.171
I 12.704 2.129 7.686
I 10.651 1.621 0.983
I 13.837 9.115 2.903
I 18.593 12.562 10.760
I 16.401 12.726 3.662
I 13.231 5.372 1.053
I 15.988 5.845 8.265
! **DFT formation energy**: -1855.2 meV per atom
! **Calculated total energy**: -167.1 eV for the cell shown
! **SG**: P-1, No. 2

=====

[5]
! BaCaI4 | Materials Project | PBE | optimized geometry; values from VASP
&SYSTEM
  ibrav = 0, nat = 6, ntyp = 3
/
ATOMIC_SPECIES
Ba 137.33 Ba.upf
Ca 40.08 Ca.upf
I 126.90 I.upf
CELL_PARAMETERS angstrom
5.700 0.000 0.000
0.000 8.187 0.000
0.000 0.000 5.719
ATOMIC_POSITIONS angstrom
Ba 0.000 0.000 0.000
Ca 2.850 4.093 2.789
I 0.000 2.149 2.837
I 0.000 6.038 2.837
I 2.850 2.179 5.671
I 2.850 6.008 5.671
! **DFT formation energy**: -1875.4 meV per atom
! **Calculated total energy**: -19.8 eV for the cell shown
! **SG**: Pmm2, No. 25
! **Distance to the lowest polymorph of the same formula**: 69.7 meV per atom
! **Piezoelectric modulus e_max**: 0.14 C/m²

=====

[6]
! BaCaI4 | Materials Project | PBE | optimized geometry; values from VASP
&SYSTEM
  ibrav = 0, nat = 12, ntyp = 3
/
ATOMIC_SPECIES
Ba 137.33 Ba.upf
Ca 40.08 Ca.upf
I 126.90 I.upf
CELL_PARAMETERS angstrom
5.262 -7.573 0.000
5.262 7.573 0.000
-4.355 0.000 6.433
ATOMIC_POSITIONS angstrom
Ba 1.996 5.535 4.825
Ba 4.173 -5.535 1.608
Ca 1.996 0.036 4.825
Ca 4.173 -0.036 1.608
I -1.199 0.931 5.026
I 2.242 2.594 2.706
I 0.979 -0.931 1.809
I 6.105 2.594 0.511
I 0.064 -2.594 5.922
I 5.191 0.931 4.624
I 3.928 -2.594 3.728
I 7.368 -0.931 1.408
! **DFT formation energy**: -1903.5 meV per atom
! **Calculated total energy**: -39.9 eV for the cell shown
! **SG**: C2/c, No. 15
! **Distance to the lowest polymorph of the same formula**: 41.5 meV per atom